The following is a r2SCAN calculation of a geometry-optimized SmTmS2 structure, from the Materials Project.

abc: 3.884 3.884 19.501
angles: 90.00 90.00 120.00
Fractional coordinates of all 12 atoms:
Sm 0.000 0.000 0.000
Sm 0.333 0.667 0.667
Sm 0.667 0.333 0.333
Tm 0.000 0.000 0.500
Tm 0.333 0.667 0.167
Tm 0.667 0.333 0.833
S 0.000 0.000 0.244
S 0.000 0.000 0.756
S 0.333 0.667 0.423
S 0.333 0.667 0.911
S 0.667 0.333 0.089
S 0.667 0.333 0.577

As for the formation energy: -2.25 eV per atom. The crystal system is trigonal. The total energy comes out at -0.826 Ha/atom.


The following is a r2SCAN calculation of a geometry-optimized EuEr2S4 structure, from the Materials Project.

abc: 11.841 3.929 14.143
angles: 90.00 90.00 90.00
Fractional coordinates of all 28 atoms:
Eu 0.243 0.250 0.162
Eu 0.257 0.750 0.662
Eu 0.743 0.250 0.338
Eu 0.757 0.750 0.838
Er 0.068 0.250 0.389
Er 0.081 0.250 0.900
Er 0.419 0.750 0.400
Er 0.432 0.750 0.889
Er 0.568 0.250 0.111
Er 0.581 0.250 0.600
Er 0.919 0.750 0.100
Er 0.932 0.750 0.611
S 0.023 0.750 0.784
S 0.087 0.250 0.579
S 0.131 0.750 0.028
S 0.208 0.750 0.324
S 0.292 0.250 0.824
S 0.369 0.250 0.528
S 0.413 0.750 0.079
S 0.477 0.250 0.284
S 0.523 0.750 0.716
S 0.587 0.250 0.921
S 0.631 0.750 0.472
S 0.708 0.750 0.176
S 0.792 0.250 0.676
S 0.869 0.250 0.972
S 0.913 0.750 0.421
S 0.977 0.250 0.216

As for the formation energy: -2.43 eV per atom. The crystal system is orthorhombic. The total energy comes out at -0.817 Ha/atom.


The following is a r2SCAN calculation of a geometry-optimized Rb2BeF4 structure, from the Materials Project.

abc: 7.655 5.832 10.160
angles: 90.00 90.00 90.00
Fractional coordinates of all 28 atoms:
Rb 0.015 0.250 0.189
Rb 0.160 0.750 0.405
Rb 0.340 0.250 0.905
Rb 0.485 0.750 0.689
Rb 0.515 0.250 0.311
Rb 0.660 0.750 0.095
Rb 0.840 0.250 0.595
Rb 0.985 0.750 0.811
Be 0.238 0.750 0.082
Be 0.262 0.250 0.582
Be 0.738 0.750 0.418
Be 0.762 0.250 0.918
F 0.036 0.750 0.089
F 0.189 0.032 0.652
F 0.189 0.468 0.652
F 0.193 0.250 0.437
F 0.307 0.750 0.937
F 0.311 0.532 0.152
F 0.311 0.968 0.152
F 0.464 0.250 0.589
F 0.536 0.750 0.411
F 0.689 0.032 0.848
F 0.689 0.468 0.848
F 0.693 0.250 0.063
F 0.807 0.750 0.563
F 0.811 0.532 0.348
F 0.811 0.968 0.348
F 0.964 0.250 0.911

As for the formation energy: -3.29 eV per atom. The crystal system is orthorhombic. The total energy comes out at -0.356 Ha/atom.


The following is a r2SCAN calculation of a geometry-optimized NdMgPt structure, from the Materials Project.

abc: 7.534 7.534 4.130
angles: 90.00 90.00 120.00
Fractional coordinates of all 9 atoms:
Nd 0.000 0.587 0.000
Nd 0.413 0.413 0.000
Nd 0.587 0.000 0.000
Mg 0.000 0.239 0.500
Mg 0.239 0.000 0.500
Mg 0.761 0.761 0.500
Pt 0.000 0.000 0.000
Pt 0.333 0.667 0.500
Pt 0.667 0.333 0.500

As for the formation energy: -0.96 eV per atom. The crystal system is hexagonal. The total energy comes out at -1.077 Ha/atom.


The following is a r2SCAN calculation of a geometry-optimized EuAl20V2 structure, from the Materials Project.

abc: 10.199 10.199 10.199
angles: 60.00 60.00 60.00
Fractional coordinates of all 46 atoms:
Eu 0.125 0.125 0.125
Eu 0.875 0.875 0.875
Al 0.000 0.000 0.000
Al 0.000 0.000 0.500
Al 0.000 0.500 0.000
Al 0.056 0.326 0.326
Al 0.056 0.326 0.792
Al 0.056 0.792 0.326
Al 0.208 0.674 0.674
Al 0.208 0.674 0.944
Al 0.208 0.944 0.674
Al 0.236 0.236 0.514
Al 0.236 0.514 0.236
Al 0.236 0.514 0.514
Al 0.326 0.056 0.326
Al 0.326 0.056 0.792
Al 0.326 0.326 0.056
Al 0.326 0.326 0.792
Al 0.326 0.792 0.056
Al 0.326 0.792 0.326
Al 0.486 0.486 0.764
Al 0.486 0.764 0.486
Al 0.486 0.764 0.764
Al 0.500 0.000 0.000
Al 0.514 0.236 0.236
Al 0.514 0.236 0.514
Al 0.514 0.514 0.236
Al 0.674 0.208 0.674
Al 0.674 0.208 0.944
Al 0.674 0.674 0.208
Al 0.674 0.674 0.944
Al 0.674 0.944 0.208
Al 0.674 0.944 0.674
Al 0.764 0.486 0.486
Al 0.764 0.486 0.764
Al 0.764 0.764 0.486
Al 0.792 0.056 0.326
Al 0.792 0.326 0.056
Al 0.792 0.326 0.326
Al 0.944 0.208 0.674
Al 0.944 0.674 0.208
Al 0.944 0.674 0.674
V 0.000 0.500 0.500
V 0.500 0.000 0.500
V 0.500 0.500 0.000
V 0.500 0.500 0.500

As for the formation energy: -0.21 eV per atom. The crystal system is cubic. The total energy comes out at -0.330 Ha/atom.


The following is a r2SCAN calculation of a geometry-optimized Lu3Ga8Ir3 structure, from the Materials Project.

abc: 8.062 8.062 8.062
angles: 150.36 106.08 81.60
Fractional coordinates of all 14 atoms:
Lu 0.000 0.000 0.000
Lu 0.335 0.335 0.000
Lu 0.665 0.665 0.000
Ga 0.043 0.671 0.372
Ga 0.160 0.876 0.285
Ga 0.299 0.671 0.628
Ga 0.409 0.124 0.285
Ga 0.591 0.876 0.715
Ga 0.701 0.329 0.372
Ga 0.840 0.124 0.715
Ga 0.957 0.329 0.628
Ir 0.277 0.500 0.777
Ir 0.500 0.000 0.500
Ir 0.723 0.500 0.223

As for the formation energy: -0.72 eV per atom. The crystal system is orthorhombic. The total energy comes out at -0.979 Ha/atom.


The following is a r2SCAN calculation of a geometry-optimized RbLiF2 structure, from the Materials Project.

abc: 6.241 6.241 7.787
angles: 92.85 92.85 124.98
Fractional coordinates of all 16 atoms:
Rb 0.141 0.323 0.432
Rb 0.323 0.141 0.932
Rb 0.677 0.859 0.068
Rb 0.859 0.677 0.568
Li 0.044 0.441 0.861
Li 0.441 0.044 0.361
Li 0.559 0.956 0.639
Li 0.956 0.559 0.139
F 0.114 0.886 0.250
F 0.152 0.431 0.083
F 0.312 0.688 0.750
F 0.431 0.152 0.583
F 0.569 0.848 0.417
F 0.688 0.312 0.250
F 0.848 0.569 0.917
F 0.886 0.114 0.750

As for the formation energy: -3.02 eV per atom. The crystal system is monoclinic. The total energy comes out at -0.318 Ha/atom.


The following is a r2SCAN calculation of a geometry-optimized VI3 structure, from the Materials Project.

abc: 10.426 3.690 10.798
angles: 90.00 118.54 90.00
Fractional coordinates of all 8 atoms:
V 0.000 0.000 0.000
V 0.333 0.500 0.673
I 0.103 0.000 0.551
I 0.230 0.500 0.121
I 0.445 0.000 0.894
I 0.447 0.000 0.555
I 0.887 0.500 0.120
I 0.888 0.500 0.779

As for the formation energy: -0.57 eV per atom. The crystal system is monoclinic. The total energy comes out at -0.827 Ha/atom.


The following is a r2SCAN calculation of a geometry-optimized Na5Hf2F13 structure, from the Materials Project.

abc: 6.337 6.337 8.321
angles: 96.50 96.50 50.88
Fractional coordinates of all 20 atoms:
Na 0.000 0.000 0.000
Na 0.165 0.165 0.428
Na 0.277 0.277 0.846
Na 0.723 0.723 0.154
Na 0.835 0.835 0.572
Hf 0.427 0.427 0.256
Hf 0.573 0.573 0.744
F 0.081 0.556 0.357
F 0.140 0.592 0.069
F 0.199 0.677 0.750
F 0.323 0.801 0.250
F 0.408 0.860 0.931
F 0.444 0.919 0.643
F 0.500 0.500 0.500
F 0.556 0.081 0.357
F 0.592 0.140 0.069
F 0.677 0.199 0.750
F 0.801 0.323 0.250
F 0.860 0.408 0.931
F 0.919 0.444 0.643

As for the formation energy: -3.63 eV per atom. The crystal system is monoclinic. The total energy comes out at -0.407 Ha/atom.


The following is a r2SCAN calculation of a geometry-optimized LaNi4Rh structure, from the Materials Project.

abc: 4.881 9.048 3.982
angles: 90.00 90.00 90.00
Fractional coordinates of all 12 atoms:
La 0.000 0.000 0.000
La 0.500 0.500 0.000
Ni 0.000 0.319 0.000
Ni 0.000 0.681 0.000
Ni 0.250 0.250 0.500
Ni 0.250 0.750 0.500
Ni 0.500 0.181 0.000
Ni 0.500 0.819 0.000
Ni 0.750 0.250 0.500
Ni 0.750 0.750 0.500
Rh 0.000 0.500 0.500
Rh 0.500 0.000 0.500

As for the formation energy: -0.30 eV per atom. The crystal system is orthorhombic. The total energy comes out at -0.635 Ha/atom.


The following is a r2SCAN calculation of a geometry-optimized ErAlPd structure, from the Materials Project.

abc: 6.830 4.402 7.690
angles: 90.00 90.00 90.00
Fractional coordinates of all 12 atoms:
Er 0.032 0.250 0.180
Er 0.468 0.750 0.680
Er 0.532 0.250 0.320
Er 0.968 0.750 0.820
Al 0.143 0.250 0.562
Al 0.357 0.750 0.062
Al 0.643 0.250 0.938
Al 0.857 0.750 0.438
Pd 0.229 0.750 0.381
Pd 0.271 0.250 0.881
Pd 0.729 0.750 0.119
Pd 0.771 0.250 0.619

As for the formation energy: -0.94 eV per atom. The crystal system is orthorhombic. The total energy comes out at -0.814 Ha/atom.


The following is a r2SCAN calculation of a geometry-optimized La2C2Cl structure, from the Materials Project.

abc: 7.783 7.783 6.846
angles: 101.50 101.50 31.19
Fractional coordinates of all 10 atoms:
La 0.051 0.652 0.846
La 0.348 0.949 0.654
La 0.652 0.051 0.346
La 0.949 0.348 0.154
C 0.140 0.415 0.472
C 0.415 0.140 0.972
C 0.585 0.860 0.028
C 0.860 0.585 0.528
Cl 0.291 0.709 0.250
Cl 0.709 0.291 0.750

As for the formation energy: -1.14 eV per atom. The crystal system is monoclinic. The total energy comes out at -0.671 Ha/atom.